Run 1
Density functional theory data (PBE with a Hubbard U) for crystalline ThV2PbO8 at its relaxed geometry.

Lattice parameters (Å, degrees): 7.043 7.043 7.043 136.10 136.10 63.82
Atoms (fractional coordinates):
1 O 0.071 0.180 0.396
2 O 0.785 0.676 0.604
3 O 0.919 0.784 0.370
4 O 0.216 0.586 0.135
5 O 0.414 0.549 0.630
6 O 0.324 0.929 0.109
7 O 0.451 0.081 0.865
8 O 0.820 0.215 0.891
9 Pb 0.750 0.250 0.500
10 V 0.000 0.000 0.000
11 V 0.250 0.750 0.500
12 Th 0.500 0.500 0.000

Computed properties:
- crystal system = tetragonal

---

Run 2
Density functional theory data (PBE with a Hubbard U) for crystalline ThV2PbO8 at its relaxed geometry.

Lattice parameters (Å, degrees): 6.261 6.261 6.261 106.08 106.08 116.50
Atoms (fractional coordinates):
1 Th 0.250 0.750 0.500
2 V 0.500 0.500 0.000
3 V 0.750 0.250 0.500
4 O 0.846 0.659 0.187
5 O 0.472 0.659 0.813
6 O 0.929 0.600 0.671
7 O 0.929 0.257 0.329
8 O 0.341 0.528 0.187
9 O 0.400 0.071 0.329
10 O 0.341 0.154 0.813
11 O 0.743 0.071 0.671
12 Pb 0.000 0.000 0.000

Computed properties:
- crystal system = tetragonal

---

Relative energies in meV/atom: run 1 28; run 2 0

---

Run 1
Density functional theory data (PBE with a Hubbard U) for crystalline V2PbO6 at its relaxed geometry.

Lattice parameters (Å, degrees): 3.714 8.337 9.673 108.45 90.00 102.87
Atoms (fractional coordinates):
1 O 0.348 0.696 0.979
2 O 0.489 0.978 0.818
3 O 0.102 0.204 0.464
4 O 0.652 0.304 0.021
5 O 0.272 0.544 0.648
6 O 0.728 0.456 0.352
7 O 0.107 0.215 0.793
8 O 0.511 0.022 0.182
9 O 0.893 0.785 0.207
10 O 0.338 0.675 0.304
11 O 0.898 0.796 0.536
12 O 0.662 0.325 0.696
13 Pb 0.125 0.250 0.228
14 Pb 0.875 0.750 0.772
15 V 0.402 0.804 0.158
16 V 0.835 0.670 0.361
17 V 0.165 0.330 0.639
18 V 0.598 0.196 0.842

Computed properties:
- crystal system = monoclinic

---

Run 2
Density functional theory data (PBE with a Hubbard U) for crystalline V2PbO6 at its relaxed geometry.

Lattice parameters (Å, degrees): 8.258 8.258 9.082 90.00 90.00 118.12
Atoms (fractional coordinates):
1 O 0.189 0.343 0.420
2 O 0.115 0.217 0.784
3 O 0.217 0.115 0.216
4 O 0.620 0.890 0.874
5 O 0.166 0.665 0.327
6 O 0.380 0.110 0.874
7 O 0.783 0.885 0.216
8 O 0.500 0.500 0.219
9 O 0.500 0.500 0.781
10 O 0.665 0.166 0.673
11 O 0.343 0.189 0.580
12 O 0.885 0.783 0.784
13 O 0.110 0.380 0.126
14 O 0.657 0.811 0.580
15 O 0.834 0.335 0.327
16 O 0.890 0.620 0.126
17 O 0.335 0.834 0.673
18 O 0.811 0.657 0.420
19 V 0.000 0.500 0.223
20 V 0.335 0.263 0.750
21 V 0.665 0.737 0.750
22 V 0.500 0.000 0.777
23 V 0.263 0.335 0.250
24 V 0.737 0.665 0.250
25 Pb 0.864 0.136 0.500
26 Pb 0.000 0.000 0.000
27 Pb 0.136 0.864 0.500

Computed properties:
- crystal system = orthorhombic

---

Relative energies in meV/atom: run 1 0; run 2 103

---

Run 1
Density functional theory data (PBE with a Hubbard U) for crystalline V6PbO11 at its relaxed geometry.

Lattice parameters (Å, degrees): 5.937 5.937 13.583 90.00 90.00 120.00
Atoms (fractional coordinates):
1 V 0.000 0.000 0.146
2 V 0.997 0.498 0.996
3 V 0.667 0.333 0.255
4 V 0.000 0.000 0.852
5 V 0.333 0.667 0.755
6 V 0.498 0.502 0.496
7 V 0.003 0.502 0.496
8 V 0.502 0.498 0.996
9 V 0.000 0.000 0.646
10 V 0.498 0.997 0.496
11 V 0.000 0.000 0.352
12 V 0.502 0.003 0.996
13 O 0.667 0.333 0.079
14 O 0.852 0.704 0.249
15 O 0.333 0.667 0.579
16 O 0.148 0.296 0.749
17 O 0.170 0.830 0.424
18 O 0.340 0.170 0.924
19 O 0.354 0.177 0.578
20 O 0.704 0.852 0.749
21 O 0.296 0.148 0.249
22 O 0.660 0.830 0.424
23 O 0.830 0.660 0.924
24 O 0.823 0.646 0.578
25 O 0.170 0.340 0.424
26 O 0.823 0.177 0.578
27 O 0.646 0.823 0.078
28 O 0.667 0.333 0.415
29 O 0.830 0.170 0.924
30 O 0.148 0.852 0.749
31 O 0.177 0.823 0.078
32 O 0.333 0.667 0.915
33 O 0.852 0.148 0.249
34 O 0.177 0.354 0.078
35 Pb 0.333 0.667 0.221
36 Pb 0.667 0.333 0.721

Computed properties:
- crystal system = hexagonal

---

Run 2
Density functional theory data (PBE with a Hubbard U) for crystalline V6PbO11 at its relaxed geometry.

Lattice parameters (Å, degrees): 5.840 5.840 13.197 90.00 90.00 120.00
Atoms (fractional coordinates):
1 O 0.171 0.829 0.419
2 O 0.829 0.171 0.919
3 O 0.302 0.151 0.250
4 O 0.667 0.333 0.088
5 O 0.171 0.829 0.081
6 O 0.849 0.151 0.250
7 O 0.829 0.171 0.581
8 O 0.667 0.333 0.412
9 O 0.698 0.849 0.750
10 O 0.342 0.171 0.919
11 O 0.151 0.849 0.750
12 O 0.829 0.658 0.581
13 O 0.171 0.342 0.081
14 O 0.151 0.302 0.750
15 O 0.849 0.698 0.250
16 O 0.171 0.342 0.419
17 O 0.829 0.658 0.919
18 O 0.333 0.667 0.912
19 O 0.333 0.667 0.588
20 O 0.342 0.171 0.581
21 O 0.658 0.829 0.419
22 O 0.658 0.829 0.081
23 V 0.500 0.500 0.500
24 V 0.500 0.500 0.000
25 V 0.500 0.000 0.500
26 V 0.000 0.000 0.353
27 V 0.000 0.000 0.853
28 V 0.000 0.500 0.500
29 V 0.000 0.000 0.647
30 V 0.500 0.000 0.000
31 V 0.667 0.333 0.250
32 V 0.333 0.667 0.750
33 V 0.000 0.000 0.147
34 V 0.000 0.500 0.000
35 Pb 0.667 0.333 0.750
36 Pb 0.333 0.667 0.250

Computed properties:
- crystal system = hexagonal

---

Relative energies in meV/atom: run 1 0; run 2 25

---

Run 1
Density functional theory data (PBE with a Hubbard U) for crystalline V6PbO15 at its relaxed geometry.

Lattice parameters (Å, degrees): 8.055 8.055 10.390 70.70 70.70 26.78
Atoms (fractional coordinates):
1 O 0.186 0.186 0.043
2 O 0.396 0.396 0.532
3 O 0.816 0.816 0.955
4 O 0.758 0.758 0.576
5 O 0.603 0.603 0.479
6 O 0.568 0.568 0.215
7 O 0.001 0.001 0.000
8 O 0.437 0.437 0.775
9 O 0.108 0.108 0.733
10 O 0.882 0.882 0.269
11 O 0.738 0.738 0.213
12 O 0.369 0.369 0.073
13 O 0.635 0.635 0.925
14 O 0.261 0.261 0.776
15 O 0.246 0.246 0.430
16 V 0.284 0.284 0.593
17 V 0.116 0.116 0.890
18 V 0.668 0.668 0.101
19 V 0.719 0.719 0.412
20 V 0.334 0.334 0.902
21 V 0.878 0.878 0.113
22 Pb 0.001 0.001 0.601

Computed properties:
- crystal system = monoclinic

---

Run 2
Density functional theory data (PBE with a Hubbard U) for crystalline V6PbO15 at its relaxed geometry.

Lattice parameters (Å, degrees): 7.416 10.412 15.661 70.50 90.00 90.00
Atoms (fractional coordinates):
1 O 0.617 0.952 0.070
2 O 0.123 0.788 0.512
3 O 0.876 0.005 0.749
4 O 0.629 0.470 0.853
5 O 0.624 0.005 0.249
6 O 0.623 0.212 0.988
7 O 0.874 0.735 0.856
8 O 0.372 0.075 0.118
9 O 0.641 0.216 0.816
10 O 0.371 0.530 0.147
11 O 0.119 0.466 0.855
12 O 0.859 0.216 0.316
13 O 0.626 0.735 0.356
14 O 0.376 0.995 0.751
15 O 0.395 0.219 0.316
16 O 0.632 0.571 0.007
17 O 0.124 0.995 0.251
18 O 0.872 0.925 0.382
19 O 0.877 0.075 0.118
20 O 0.877 0.212 0.488
21 O 0.619 0.534 0.645
22 O 0.881 0.424 0.997
23 O 0.129 0.530 0.647
24 O 0.374 0.265 0.644
25 O 0.381 0.576 0.503
26 O 0.368 0.959 0.558
27 O 0.619 0.424 0.497
28 O 0.123 0.925 0.882
29 O 0.868 0.041 0.942
30 O 0.132 0.959 0.058
31 O 0.105 0.219 0.816
32 O 0.883 0.952 0.570
33 O 0.377 0.730 0.865
34 O 0.605 0.781 0.684
35 O 0.377 0.788 0.012
36 O 0.368 0.429 0.993
37 O 0.381 0.466 0.355
38 O 0.375 0.223 0.492
39 O 0.132 0.429 0.493
40 O 0.625 0.777 0.508
41 O 0.871 0.470 0.353
42 O 0.877 0.270 0.635
43 O 0.895 0.781 0.184
44 O 0.875 0.777 0.008
45 O 0.623 0.270 0.135
46 O 0.377 0.925 0.382
47 O 0.128 0.075 0.618
48 O 0.123 0.730 0.365
49 O 0.628 0.925 0.882
50 O 0.623 0.075 0.618
51 O 0.881 0.534 0.145
52 O 0.125 0.223 0.992
53 O 0.117 0.048 0.430
54 O 0.141 0.784 0.684
55 O 0.119 0.576 0.003
56 O 0.632 0.041 0.442
57 O 0.359 0.784 0.184
58 O 0.383 0.048 0.930
59 O 0.868 0.571 0.507
60 O 0.126 0.265 0.144
61 V 0.123 0.893 0.366
62 V 0.877 0.107 0.634
63 V 0.127 0.897 0.582
64 V 0.877 0.594 0.032
65 V 0.873 0.410 0.467
66 V 0.127 0.590 0.533
67 V 0.377 0.406 0.468
68 V 0.376 0.096 0.416
69 V 0.623 0.594 0.532
70 V 0.373 0.590 0.033
71 V 0.627 0.103 0.918
72 V 0.124 0.096 0.916
73 V 0.627 0.410 0.967
74 V 0.123 0.406 0.968
75 V 0.126 0.117 0.130
76 V 0.374 0.117 0.630
77 V 0.876 0.904 0.084
78 V 0.373 0.897 0.082
79 V 0.377 0.893 0.866
80 V 0.626 0.883 0.370
81 V 0.623 0.107 0.134
82 V 0.874 0.883 0.870
83 V 0.873 0.103 0.418
84 V 0.624 0.904 0.584
85 Pb 0.883 0.393 0.747
86 Pb 0.383 0.607 0.753
87 Pb 0.117 0.607 0.253
88 Pb 0.617 0.393 0.247

Computed properties:
- crystal system = monoclinic

---

Relative energies in meV/atom: run 1 14; run 2 0

---

Run 1
Density functional theory data (PBE with a Hubbard U) for crystalline PbWO2 at its relaxed geometry.

Lattice parameters (Å, degrees): 7.891 7.891 7.891 131.09 131.09 71.68
Atoms (fractional coordinates):
1 O 0.176 0.375 0.200
2 O 0.726 0.426 0.300
3 O 0.625 0.824 0.800
4 O 0.176 0.976 0.800
5 O 0.024 0.824 0.200
6 O 0.574 0.274 0.700
7 O 0.574 0.875 0.300
8 O 0.125 0.426 0.700
9 W 0.875 0.625 0.750
10 W 0.875 0.125 0.250
11 W 0.875 0.125 0.750
12 W 0.375 0.125 0.250
13 Pb 0.875 0.625 0.250
14 Pb 0.375 0.625 0.250
15 Pb 0.375 0.125 0.750
16 Pb 0.375 0.625 0.750

Computed properties:
- crystal system = tetragonal

---

Run 2
Density functional theory data (PBE with a Hubbard U) for crystalline PbWO2 at its relaxed geometry.

Lattice parameters (Å, degrees): 6.771 6.771 7.983 115.09 115.09 90.00
Atoms (fractional coordinates):
1 Pb 0.125 0.375 0.750
2 Pb 0.625 0.375 0.250
3 Pb 0.625 0.875 0.250
4 Pb 0.625 0.375 0.750
5 O 0.880 0.052 0.735
6 O 0.317 0.120 0.265
7 O 0.370 0.698 0.765
8 O 0.933 0.630 0.235
9 O 0.302 0.606 0.235
10 O 0.948 0.144 0.265
11 O 0.856 0.683 0.735
12 O 0.394 0.067 0.765
13 W 0.125 0.875 0.250
14 W 0.125 0.875 0.750
15 W 0.625 0.875 0.750
16 W 0.125 0.375 0.250

Computed properties:
- crystal system = tetragonal

---

Relative energies in meV/atom: run 1 188; run 2 0

---

Run 1
Density functional theory data (PBE with a Hubbard U) for crystalline PrTlW2O8 at its relaxed geometry.

Lattice parameters (Å, degrees): 8.217 8.217 7.894 61.34 61.34 91.47
Atoms (fractional coordinates):
1 O 0.331 0.098 0.210
2 O 0.820 0.321 0.593
3 O 0.105 0.322 0.858
4 O 0.679 0.180 0.407
5 O 0.321 0.820 0.593
6 O 0.895 0.678 0.142
7 O 0.536 0.536 0.205
8 O 0.973 0.973 0.349
9 O 0.322 0.105 0.858
10 O 0.027 0.027 0.651
11 O 0.669 0.902 0.790
12 O 0.678 0.895 0.142
13 O 0.464 0.464 0.795
14 O 0.180 0.679 0.407
15 O 0.098 0.331 0.210
16 O 0.902 0.669 0.790
17 W 0.843 0.157 0.500
18 W 0.756 0.756 0.000
19 W 0.157 0.843 0.500
20 W 0.244 0.244 0.000
21 Tl 0.281 0.719 0.000
22 Tl 0.719 0.281 0.000
23 Pr 0.736 0.736 0.434
24 Pr 0.264 0.264 0.566

Computed properties:
- crystal system = monoclinic

---

Run 2
Density functional theory data (PBE with a Hubbard U) for crystalline PrTlW2O8 at its relaxed geometry.

Lattice parameters (Å, degrees): 7.782 7.782 7.578 62.94 62.94 89.50
Atoms (fractional coordinates):
1 W 0.304 0.313 0.222
2 W 0.696 0.687 0.778
3 W 0.687 0.696 0.278
4 W 0.313 0.304 0.722
5 O 0.214 0.055 0.311
6 O 0.583 0.371 0.973
7 O 0.620 0.751 0.559
8 O 0.945 0.786 0.189
9 O 0.055 0.214 0.811
10 O 0.249 0.380 0.941
11 O 0.629 0.417 0.527
12 O 0.417 0.629 0.027
13 O 0.616 0.927 0.134
14 O 0.751 0.620 0.059
15 O 0.927 0.616 0.634
16 O 0.384 0.073 0.866
17 O 0.380 0.249 0.441
18 O 0.073 0.384 0.366
19 O 0.371 0.583 0.473
20 O 0.786 0.945 0.689
21 Pr 0.224 0.776 0.250
22 Pr 0.776 0.224 0.750
23 Tl 0.204 0.796 0.750
24 Tl 0.796 0.204 0.250

Computed properties:
- crystal system = monoclinic

---

Relative energies in meV/atom: run 1 143; run 2 0